No. 1
Density functional theory data (PBE with a Hubbard U) for a relaxed Li6MnV3P6O24 crystal.

Calculated values
- energy of formation (meV/atom) = -2646
- total moment (μB/f.u.) = 10.0
- space group = No. 1

Lattice parameters (Å, degrees): 9.8306 9.8391 9.8650 84.82 86.84 87.19
Closest atoms and distances in Å follow each position.
Atoms (fractional coordinates):
Li (0.2389, 0.5092, 0.9844)  5 O 2.14-2.38
Li (0.3867, 0.2568, 0.0096)  2 O 1.88-2.10
Li (0.4605, 0.5700, 0.7855)  3 O 1.99-2.10
Li (0.1747, 0.7332, 0.7742)  3 O 2.00-2.15
Li (0.6173, 0.9793, 0.7493)  2 O 1.90-2.04
Li (0.8219, 0.7441, 0.6244)  3 O 1.88-1.99
Li (0.7557, 0.0125, 0.4955)  6 O 2.19-2.43
Li (0.5390, 0.2207, 0.4360)  3 O 1.95-2.06
Li (0.9770, 0.9227, 0.3005)  3 O 2.03-2.07
Li (0.8239, 0.2284, 0.2630)  4 O 2.04-2.21
Li (0.1792, 0.3794, 0.2458)  3 O 1.89-2.00
Li (0.0146, 0.6953, 0.0762)  3 O 2.00-2.11
Mn (0.7817, 0.2628, 0.9698)  5 O 1.96-2.11
Mn (0.7225, 0.7455, 0.0212)  5 O 2.05-2.24
V (0.9994, 0.2433, 0.7501)  6 O 1.96-2.04
V (0.2181, 0.0290, 0.7477)  5 O 1.93-2.13
V (0.0024, 0.4628, 0.5326)  6 O 1.95-2.10
V (0.5009, 0.5341, 0.4697)  6 O 1.97-2.14
V (0.2817, 0.9678, 0.2508)  6 O 1.96-2.17
V (0.5073, 0.7496, 0.2515)  6 O 1.90-2.02
P (0.4003, 0.8228, 0.9514)  4 O 1.54-1.62
P (0.9079, 0.9423, 0.8250)  4 O 1.53-1.58
P (0.9274, 0.5471, 0.8403)  4 O 1.51-1.61
P (0.3013, 0.3434, 0.6829)  4 O 1.53-1.61
P (0.6996, 0.3161, 0.6567)  4 O 1.53-1.61
P (0.4299, 0.8388, 0.5555)  4 O 1.51-1.62
P (0.0718, 0.1533, 0.4465)  4 O 1.54-1.57
P (0.8072, 0.6820, 0.3518)  4 O 1.53-1.63
P (0.1988, 0.6526, 0.3165)  4 O 1.52-1.62
P (0.5720, 0.4441, 0.1682)  4 O 1.51-1.62
P (0.5915, 0.0599, 0.1803)  4 O 1.53-1.60
P (0.0944, 0.1739, 0.0514)  4 O 1.54-1.59
O (0.8824, 0.8713, 0.9679)  1 P 1.53
O (0.5533, 0.8286, 0.9118)  1 P 1.54
O (0.7893, 0.6044, 0.8888)  1 P 1.51
O (0.3284, 0.9575, 0.8959)  1 P 1.54
O (0.3364, 0.6956, 0.9057)  1 P 1.54
O (0.9245, 0.3844, 0.8736)  1 P 1.61
O (0.0525, 0.5965, 0.9060)  1 P 1.54
O (0.1234, 0.1624, 0.8925)  1 P 1.59
O (0.8785, 0.1015, 0.8297)  1 P 1.58
O (0.6690, 0.3080, 0.8134)  1 P 1.55
O (0.0611, 0.9065, 0.7835)  1 P 1.57
O (0.3466, 0.4069, 0.8084)  1 P 1.53
O (0.8124, 0.9030, 0.7178)  1 P 1.54
O (0.9436, 0.5837, 0.6819)  1 P 1.57
O (0.3308, 0.1867, 0.6887)  1 P 1.55
O (0.1402, 0.3760, 0.6741)  1 P 1.61
O (0.2926, 0.8806, 0.6258)  1 P 1.54
O (0.5527, 0.9128, 0.5907)  1 P 1.51
O (0.8606, 0.3231, 0.6207)  1 P 1.61
O (0.6342, 0.4543, 0.6005)  1 P 1.55
O (0.4474, 0.6793, 0.5930)  1 P 1.58
O (0.6533, 0.1915, 0.5927)  1 P 1.53
O (0.0786, 0.1226, 0.6054)  1 P 1.57
O (0.3664, 0.4031, 0.5462)  1 P 1.54
O (0.8460, 0.8040, 0.4264)  1 P 1.54
O (0.1396, 0.5932, 0.4533)  1 P 1.52
O (0.8612, 0.5432, 0.4150)  1 P 1.53
O (0.4180, 0.8672, 0.3924)  1 P 1.62
O (0.6429, 0.6747, 0.3789)  1 P 1.63
O (0.9425, 0.0956, 0.3969)  1 P 1.54
O (0.0711, 0.3122, 0.4091)  1 P 1.57
O (0.2050, 0.0891, 0.3851)  1 P 1.54
O (0.3622, 0.6304, 0.3274)  1 P 1.62
O (0.1589, 0.8084, 0.2959)  1 P 1.56
O (0.5493, 0.4086, 0.3267)  1 P 1.58
O (0.6533, 0.1117, 0.3044)  1 P 1.53
O (0.8460, 0.7009, 0.1992)  1 P 1.53
O (0.6185, 0.8978, 0.1885)  1 P 1.60
O (0.1601, 0.5799, 0.1939)  1 P 1.53
O (0.4334, 0.0897, 0.1776)  1 P 1.57
O (0.5748, 0.6083, 0.1391)  1 P 1.62
O (0.3762, 0.8253, 0.1146)  1 P 1.62
O (0.7136, 0.3828, 0.1290)  1 P 1.53
O (0.9394, 0.2030, 0.0886)  1 P 1.57
O (0.4535, 0.4031, 0.0917)  1 P 1.51
O (0.1312, 0.0342, 0.1269)  1 P 1.54
O (0.1846, 0.2883, 0.0850)  1 P 1.54
O (0.6552, 0.1180, 0.0427)  1 P 1.54

No. 2
Density functional theory data (PBE with a Hubbard U) for a relaxed Li6MnV3P6O24 crystal.

Calculated values
- energy of formation (meV/atom) = -2662
- total moment (μB/f.u.) = 10.0
- space group = No. 1

Lattice parameters (Å, degrees): 8.6854 8.6957 15.1363 73.41 74.17 61.63
Closest atoms and distances in Å follow each position.
Atoms (fractional coordinates):
Li (0.2975, 0.4354, 0.3218)  4 O 2.08-2.30
Li (0.1839, 0.1605, 0.5537)  3 O 2.00-2.03
Li (0.6820, 0.6680, 0.0507)  3 O 1.97-2.02
Li (0.1666, 0.0663, 0.1885)  4 O 2.08-2.26
Li (0.2127, 0.8497, 0.8277)  3 O 1.95-2.09
Li (0.7133, 0.3501, 0.3285)  3 O 1.98-2.04
Li (0.2683, 0.5800, 0.6326)  3 O 1.97-2.04
Li (0.7659, 0.0841, 0.1327)  3 O 1.97-2.04
Li (0.7995, 0.9298, 0.8212)  4 O 2.08-2.31
Li (0.6748, 0.5629, 0.6884)  3 O 2.14-2.18
Li (0.3600, 0.1989, 0.9781)  3 O 2.00-2.06
Li (0.8624, 0.7000, 0.4799)  3 O 1.99-2.02
Mn (0.7864, 0.2812, 0.5738)  5 O 1.96-2.05
Mn (0.4776, 0.9614, 0.6760)  5 O 1.91-2.10
V (0.2860, 0.7837, 0.0734)  6 O 2.00-2.12
V (0.0318, 0.5343, 0.8208)  6 O 1.98-2.10
V (0.5338, 0.0399, 0.3200)  6 O 1.97-2.11
V (0.2166, 0.7208, 0.4246)  6 O 1.96-2.07
V (0.9724, 0.4611, 0.1792)  6 O 1.96-2.07
V (0.7160, 0.2148, 0.9236)  6 O 1.96-2.07
P (0.0131, 0.2168, 0.7355)  4 O 1.52-1.57
P (0.5167, 0.7193, 0.2367)  4 O 1.52-1.56
P (0.0227, 0.2274, 0.0230)  4 O 1.54-1.57
P (0.0983, 0.1665, 0.3754)  4 O 1.54-1.55
P (0.4039, 0.3311, 0.1240)  4 O 1.52-1.56
P (0.4769, 0.2801, 0.4764)  4 O 1.53-1.57
P (0.5218, 0.7385, 0.5241)  4 O 1.54-1.58
P (0.5971, 0.6626, 0.8758)  4 O 1.54-1.56
P (0.9069, 0.8244, 0.6262)  4 O 1.51-1.56
P (0.9747, 0.7744, 0.9770)  4 O 1.54-1.57
P (0.4868, 0.2726, 0.7609)  4 O 1.53-1.56
P (0.9872, 0.7783, 0.2625)  4 O 1.54-1.56
O (0.0224, 0.6028, 0.2384)  1 P 1.54
O (0.4651, 0.7808, 0.1375)  1 P 1.56
O (0.3992, 0.6365, 0.3093)  1 P 1.55
O (0.0071, 0.2115, 0.4738)  1 P 1.55
O (0.3010, 0.4522, 0.4667)  1 P 1.56
O (0.3573, 0.5239, 0.1228)  1 P 1.52
O (0.2353, 0.2983, 0.1457)  1 P 1.55
O (0.2650, 0.2023, 0.3524)  1 P 1.55
O (0.2034, 0.0671, 0.7264)  1 P 1.54
O (0.7071, 0.5661, 0.2297)  1 P 1.55
O (0.2060, 0.0626, 0.0348)  1 P 1.57
O (0.1522, 0.9726, 0.3700)  1 P 1.54
O (0.1086, 0.8593, 0.1909)  1 P 1.56
O (0.0134, 0.7600, 0.5327)  1 P 1.55
O (0.1184, 0.8125, 0.9953)  1 P 1.54
O (0.4241, 0.1463, 0.5530)  1 P 1.53
O (0.5088, 0.2623, 0.0317)  1 P 1.55
O (0.0306, 0.7059, 0.7009)  1 P 1.56
O (0.0523, 0.7141, 0.8796)  1 P 1.57
O (0.6255, 0.3130, 0.4945)  1 P 1.55
O (0.9261, 0.6374, 0.0547)  1 P 1.55
O (0.0297, 0.7249, 0.3631)  1 P 1.55
O (0.5268, 0.2162, 0.1993)  1 P 1.56
O (0.5527, 0.2223, 0.3783)  1 P 1.57
O (0.5242, 0.0948, 0.7377)  1 P 1.55
O (0.4973, 0.8844, 0.2635)  1 P 1.52
O (0.4350, 0.8147, 0.6178)  1 P 1.58
O (0.9449, 0.2963, 0.1171)  1 P 1.56
O (0.9572, 0.2825, 0.6360)  1 P 1.57
O (0.4686, 0.7755, 0.8044)  1 P 1.55
O (0.0703, 0.3606, 0.9418)  1 P 1.54
O (0.3816, 0.6896, 0.5110)  1 P 1.54
O (0.9709, 0.2817, 0.3028)  1 P 1.55
O (0.5667, 0.8720, 0.4423)  1 P 1.54
O (0.8826, 0.1804, 0.0078)  1 P 1.54
O (0.8968, 0.1322, 0.8080)  1 P 1.55
O (0.5074, 0.7089, 0.9740)  1 P 1.55
O (0.7961, 0.9435, 0.9672)  1 P 1.56
O (0.8602, 0.0151, 0.6267)  1 P 1.51
O (0.2961, 0.4160, 0.7578)  1 P 1.53
O (0.7971, 0.9248, 0.2579)  1 P 1.54
O (0.7401, 0.7888, 0.6457)  1 P 1.56
O (0.7645, 0.6985, 0.8523)  1 P 1.56
O (0.7020, 0.5764, 0.5390)  1 P 1.55
O (0.6540, 0.4671, 0.8717)  1 P 1.54
O (0.6049, 0.3577, 0.6890)  1 P 1.56
O (0.5318, 0.2179, 0.8612)  1 P 1.56
O (0.9909, 0.3837, 0.7617)  1 P 1.52

So what do the calculations give for total DFT energy (no corrections)? Going down the list: -7.042 -7.058 eV per atom.